1.
Rb2NaMn3F12: optimized geometry, r2SCAN.

Cell lengths 7.080, 7.481, 10.100 Å; angles 90.02, 94.16, 90.56 degrees
Space group P-1 (No. 2)
One atom of each set of equivalent atoms:
Rb  0.013  0.252  0.392 (multiplicity 2)
Rb  0.474  0.262  0.141 (multiplicity 2)
Na  0.207  0.764  0.254 (multiplicity 2)
Mn  0.000  0.000  0.000 (multiplicity 1)
Mn  0.000  0.500  0.000 (multiplicity 1)
Mn  0.314  0.252  0.785 (multiplicity 2)
Mn  0.500  0.000  0.500 (multiplicity 1)
Mn  0.500  0.500  0.500 (multiplicity 1)
F  0.085  0.765  0.014 (multiplicity 2)
F  0.090  0.229  0.686 (multiplicity 2)
F  0.120  0.466  0.165 (multiplicity 2)
F  0.132  0.048  0.161 (multiplicity 2)
F  0.226  0.445  0.921 (multiplicity 2)
F  0.249  0.068  0.901 (multiplicity 2)
F  0.250  0.948  0.454 (multiplicity 2)
F  0.266  0.570  0.432 (multiplicity 2)
F  0.379  0.448  0.679 (multiplicity 2)
F  0.443  0.055  0.674 (multiplicity 2)
F  0.444  0.266  0.436 (multiplicity 2)
F  0.453  0.725  0.125 (multiplicity 2)

total DFT energy (no corrections)	-9.26	eV per atom
V	14.8	A^3/atom
energy of formation	-2.99	eV per atom
ρ	3.65	Mg/m³
total moment	24.00	Bohr magnetons per cell


2.
Mn6OF11: optimized geometry, r2SCAN.

Cell lengths 4.897, 5.773, 15.855 Å; angles 90.80, 90.16, 91.14 degrees
Space group P-1 (No. 2)
One atom of each set of equivalent atoms:
Mn  0.003  0.332  0.086 (multiplicity 2)
Mn  0.005  0.678  0.259 (multiplicity 2)
Mn  0.016  0.685  0.576 (multiplicity 2)
Mn  0.495  0.173  0.916 (multiplicity 2)
Mn  0.495  0.858  0.425 (multiplicity 2)
Mn  0.496  0.176  0.253 (multiplicity 2)
O  0.295  0.896  0.526 (multiplicity 2)
F  0.215  0.608  0.691 (multiplicity 2)
F  0.224  0.390  0.855 (multiplicity 2)
F  0.226  0.392  0.530 (multiplicity 2)
F  0.234  0.602  0.024 (multiplicity 2)
F  0.236  0.407  0.196 (multiplicity 2)
F  0.244  0.109  0.356 (multiplicity 2)
F  0.245  0.624  0.370 (multiplicity 2)
F  0.266  0.895  0.855 (multiplicity 2)
F  0.267  0.897  0.194 (multiplicity 2)
F  0.272  0.103  0.028 (multiplicity 2)
F  0.295  0.115  0.683 (multiplicity 2)

total DFT energy (no corrections)	-9.98	eV per atom
V	12.4	A^3/atom
energy of formation	-2.84	eV per atom
ρ	4.11	Mg/m³
total moment	58.00	Bohr magnetons per cell
offset from the most stable computed form	0.000	eV per atom